(1)
ScGa2: optimized geometry, r²SCAN.

Output
calculated total energy = -72.0 eV for the cell shown
calculated density = 5.76 g/cm3
SG = P2/m

a = 4.0851 Å, b = 4.1147 Å, c = 6.6362 Å
α = 90.00°, β = 107.76°, γ = 90.00°
With the nearest neighbours (Å) after each atom.
Atoms (fractional coordinates):
Sc1 0.1529 0.0000 0.3058  10 Ga 2.81-2.98
Sc2 0.8472 0.0000 0.6942  10 Ga 2.81-2.98
Ga1 0.0000 0.5000 0.0000  4 Sc 2.82, 8 Ga 2.90-3.03
Ga2 0.3233 0.5000 0.6464  6 Ga 2.75-3.04, 6 Sc 2.91-2.98
Ga3 0.5000 0.0000 0.0000  4 Sc 2.81-2.82, 8 Ga 2.90-3.04
Ga4 0.6767 0.5000 0.3536  6 Ga 2.75-3.04, 6 Sc 2.91-2.98

=====

(2)
Sc3Ga: optimized geometry, r²SCAN.

Output
calculated total energy = -94.3 eV for the cell shown
calculated density = 4.01 g/cm3
SG = P6_3/mmc

a = 6.2255 Å, b = 6.2255 Å, c = 5.0470 Å
α = 90.00°, β = 90.00°, γ = 120.00°
With the nearest neighbours (Å) after each atom.
Atoms (fractional coordinates):
Sc1 0.1718 0.3437 0.2500  8 Sc 3.02-3.21, 4 Ga 3.07-3.11
Sc2 0.1718 0.8282 0.2500  8 Sc 3.02-3.21, 4 Ga 3.07-3.11
Sc3 0.3437 0.1718 0.7500  8 Sc 3.02-3.21, 4 Ga 3.07-3.11
Sc4 0.6563 0.8282 0.2500  8 Sc 3.02-3.21, 4 Ga 3.07-3.11
Sc5 0.8282 0.1718 0.7500  8 Sc 3.02-3.21, 4 Ga 3.07-3.11
Sc6 0.8282 0.6563 0.7500  8 Sc 3.02-3.21, 4 Ga 3.07-3.11
Ga1 0.3333 0.6667 0.7500  12 Sc 3.07-3.11
Ga2 0.6667 0.3333 0.2500  12 Sc 3.07-3.11

=====

(3)
Sc3Ga2: optimized geometry, r²SCAN.

Output
calculated total energy = -482.1 eV for the cell shown
calculated density = 4.46 g/cm3
SG = I4/mcm

a = 10.3467 Å, b = 10.3467 Å, c = 10.3467 Å
α = 116.85°, β = 116.85°, γ = 95.55°
With the nearest neighbours (Å) after each atom.
Atoms (fractional coordinates):
Sc1 0.0677 0.9304 0.2702  6 Ga 2.76-3.07
Sc2 0.0696 0.3398 0.1373  6 Ga 2.76-3.07
Sc3 0.1469 0.6469 0.5000  4 Ga 2.73-2.81, 1 Sc 2.87
Sc4 0.1602 0.4304 0.8627  6 Ga 2.76-3.07
Sc5 0.1696 0.3304 0.5000  2 Ga 2.78
Sc6 0.2025 0.9323 0.8627  6 Ga 2.76-3.07
Sc7 0.2975 0.1602 0.7298  6 Ga 2.76-3.07
Sc8 0.3304 0.8304 0.1607  2 Ga 2.78
Sc9 0.3398 0.2025 0.2702  6 Ga 2.76-3.07
Sc10 0.3531 0.8531 0.5000  4 Ga 2.73-2.81, 1 Sc 2.87
Sc11 0.4304 0.5677 0.2702  6 Ga 2.76-3.07
Sc12 0.4323 0.7025 0.8627  6 Ga 2.76-3.07
Sc13 0.5677 0.2975 0.1373  6 Ga 2.76-3.07
Sc14 0.5696 0.4323 0.7298  6 Ga 2.76-3.07
Sc15 0.6469 0.1469 0.5000  4 Ga 2.73-2.81, 1 Sc 2.87
Sc16 0.6602 0.7975 0.7298  6 Ga 2.76-3.07
Sc17 0.6696 0.1696 0.8393  2 Ga 2.78
Sc18 0.7025 0.8398 0.2702  6 Ga 2.76-3.07
Sc19 0.7975 0.0677 0.1373  6 Ga 2.76-3.07
Sc20 0.8304 0.6696 0.5000  2 Ga 2.78
Sc21 0.8398 0.5696 0.1373  6 Ga 2.76-3.07
Sc22 0.8531 0.3531 0.5000  4 Ga 2.73-2.81, 1 Sc 2.87
Sc23 0.9304 0.6602 0.8627  6 Ga 2.76-3.07
Sc24 0.9323 0.0696 0.7298  6 Ga 2.76-3.07
Ga1 0.0000 0.0000 0.0000  8 Sc 3.00
Ga2 0.0230 0.8765 0.5000  1 Ga 2.64, 6 Sc 2.78-2.94
Ga3 0.1182 0.6182 0.7365  6 Sc 2.73-2.76
Ga4 0.1235 0.6235 0.1465  1 Ga 2.64, 6 Sc 2.78-2.94
Ga5 0.2500 0.2500 0.0000  8 Sc 2.81
Ga6 0.3765 0.5230 0.5000  1 Ga 2.64, 6 Sc 2.78-2.94
Ga7 0.3818 0.1182 0.5000  6 Sc 2.73-2.76
Ga8 0.4770 0.9770 0.8535  1 Ga 2.64, 6 Sc 2.78-2.94
Ga9 0.5000 0.5000 0.0000  8 Sc 3.00
Ga10 0.5230 0.0230 0.1465  1 Ga 2.64, 6 Sc 2.78-2.94
Ga11 0.6182 0.8818 0.5000  6 Sc 2.73-2.76
Ga12 0.6235 0.4770 0.5000  1 Ga 2.64, 6 Sc 2.78-2.94
Ga13 0.7500 0.7500 0.0000  8 Sc 2.81
Ga14 0.8765 0.3765 0.8535  1 Ga 2.64, 6 Sc 2.78-2.94
Ga15 0.8818 0.3818 0.2635  6 Sc 2.73-2.76
Ga16 0.9770 0.1235 0.5000  1 Ga 2.64, 6 Sc 2.78-2.94

=====

(4)
ScGa2: optimized geometry, r²SCAN.

Output
calculated total energy = -144.5 eV for the cell shown
calculated density = 5.83 g/cm3
SG = Imma

a = 4.2707 Å, b = 6.6095 Å, c = 7.4468 Å
α = 90.00°, β = 90.00°, γ = 90.00°
With the nearest neighbours (Å) after each atom.
Atoms (fractional coordinates):
Sc1 0.0000 0.2500 0.0153  12 Ga 2.95-3.03
Sc2 0.0000 0.7500 0.9847  12 Ga 2.95-3.03
Sc3 0.5000 0.2500 0.4847  12 Ga 2.95-3.03
Sc4 0.5000 0.7500 0.5153  12 Ga 2.95-3.03
Ga1 0.0000 0.0152 0.6658  3 Ga 2.48
Ga2 0.0000 0.4848 0.6658  3 Ga 2.48
Ga3 0.0000 0.5152 0.3342  3 Ga 2.48
Ga4 0.0000 0.9848 0.3342  3 Ga 2.48
Ga5 0.5000 0.0152 0.8342  3 Ga 2.48
Ga6 0.5000 0.4848 0.8342  3 Ga 2.48
Ga7 0.5000 0.5152 0.1658  3 Ga 2.48
Ga8 0.5000 0.9848 0.1658  3 Ga 2.48

=====

(5)
Sc3Ga5: optimized geometry, r²SCAN.

Output
calculated total energy = -386.5 eV for the cell shown
calculated density = 5.55 g/cm3
SG = Pnma

a = 10.9799 Å, b = 9.2067 Å, c = 5.7231 Å
α = 90.00°, β = 90.00°, γ = 90.00°
With the nearest neighbours (Å) after each atom.
Atoms (fractional coordinates):
Sc1 0.0687 0.2500 0.1512  5 Ga 2.68-2.80
Sc2 0.1465 0.5055 0.6083  9 Ga 2.81-3.10
Sc3 0.1465 0.9945 0.6083  9 Ga 2.81-3.10
Sc4 0.3535 0.0055 0.1083  9 Ga 2.81-3.10
Sc5 0.3535 0.4945 0.1083  9 Ga 2.81-3.10
Sc6 0.4313 0.7500 0.6512  5 Ga 2.68-2.80
Sc7 0.5687 0.2500 0.3488  5 Ga 2.68-2.80
Sc8 0.6465 0.5055 0.8917  9 Ga 2.81-3.10
Sc9 0.6465 0.9945 0.8917  9 Ga 2.81-3.10
Sc10 0.8535 0.0055 0.3917  9 Ga 2.81-3.10
Sc11 0.8535 0.4945 0.3917  9 Ga 2.81-3.10
Sc12 0.9313 0.7500 0.8488  5 Ga 2.68-2.80
Ga1 0.0050 0.2500 0.6188  3 Ga 2.59-2.80, 3 Sc 2.77-2.82
Ga2 0.0940 0.5506 0.1230  4 Ga 2.59-2.79, 3 Sc 2.79-2.90
Ga3 0.0940 0.9494 0.1230  4 Ga 2.59-2.79, 3 Sc 2.79-2.90
Ga4 0.2052 0.7500 0.8789  3 Ga 2.61-2.68, 3 Sc 2.80-2.81
Ga5 0.2494 0.7500 0.3385  5 Ga 2.68-2.98, 5 Sc 2.68-2.95
Ga6 0.2506 0.2500 0.8385  5 Ga 2.68-2.98, 5 Sc 2.68-2.95
Ga7 0.2948 0.2500 0.3789  3 Ga 2.61-2.68, 3 Sc 2.80-2.81
Ga8 0.4060 0.0506 0.6230  4 Ga 2.59-2.79, 3 Sc 2.79-2.90
Ga9 0.4060 0.4494 0.6230  4 Ga 2.59-2.79, 3 Sc 2.79-2.90
Ga10 0.4950 0.7500 0.1188  3 Ga 2.59-2.80, 3 Sc 2.77-2.82
Ga11 0.5050 0.2500 0.8812  3 Ga 2.59-2.80, 3 Sc 2.77-2.82
Ga12 0.5940 0.5506 0.3770  4 Ga 2.59-2.79, 3 Sc 2.79-2.90
Ga13 0.5940 0.9494 0.3770  4 Ga 2.59-2.79, 3 Sc 2.79-2.90
Ga14 0.7052 0.7500 0.6211  3 Ga 2.61-2.68, 3 Sc 2.80-2.81
Ga15 0.7494 0.7500 0.1615  5 Ga 2.68-2.98, 5 Sc 2.68-2.95
Ga16 0.7506 0.2500 0.6615  5 Ga 2.68-2.98, 5 Sc 2.68-2.95
Ga17 0.7948 0.2500 0.1211  3 Ga 2.61-2.68, 3 Sc 2.80-2.81
Ga18 0.9060 0.0506 0.8770  4 Ga 2.59-2.79, 3 Sc 2.79-2.90
Ga19 0.9060 0.4494 0.8770  4 Ga 2.59-2.79, 3 Sc 2.79-2.90
Ga20 0.9950 0.7500 0.3812  3 Ga 2.59-2.80, 3 Sc 2.77-2.82

=====

(6)
ScTi2Ga4: optimized geometry, r²SCAN.

Output
calculated total energy = -174.1 eV for the cell shown
calculated density = 5.95 g/cm3
SG = I4/mmm

a = 6.5822 Å, b = 6.5822 Å, c = 5.4072 Å
α = 90.00°, β = 90.00°, γ = 90.00°
With the nearest neighbours (Å) after each atom.
Atoms (fractional coordinates):
Sc1 0.0000 0.0000 0.0000  4 Ga 2.80
Sc2 0.5000 0.5000 0.5000  4 Ga 2.80
Ti1 0.0000 0.5000 0.2500  2 Ti 2.70, 8 Ga 2.73
Ti2 0.0000 0.5000 0.7500  2 Ti 2.70, 8 Ga 2.73
Ti3 0.5000 0.0000 0.2500  2 Ti 2.70, 8 Ga 2.73
Ti4 0.5000 0.0000 0.7500  2 Ti 2.70, 8 Ga 2.73
Ga1 0.1991 0.1991 0.5000  4 Ga 2.62-2.86, 4 Ti 2.73, 1 Sc 2.80
Ga2 0.1991 0.8009 0.5000  4 Ga 2.62-2.86, 4 Ti 2.73, 1 Sc 2.80
Ga3 0.3009 0.3009 0.0000  4 Ga 2.62-2.86, 4 Ti 2.73, 1 Sc 2.80
Ga4 0.3009 0.6991 0.0000  4 Ga 2.62-2.86, 4 Ti 2.73, 1 Sc 2.80
Ga5 0.6991 0.3009 0.0000  4 Ga 2.62-2.86, 4 Ti 2.73, 1 Sc 2.80
Ga6 0.6991 0.6991 0.0000  4 Ga 2.62-2.86, 4 Ti 2.73, 1 Sc 2.80
Ga7 0.8009 0.1991 0.5000  4 Ga 2.62-2.86, 4 Ti 2.73, 1 Sc 2.80
Ga8 0.8009 0.8009 0.5000  4 Ga 2.62-2.86, 4 Ti 2.73, 1 Sc 2.80